! Dy3Y5O12 (GGA-PBE, optimized geometry); values from VASP
&SYSTEM
  ibrav = 0, nat = 40, ntyp = 3
/
ATOMIC_SPECIES
Dy 162.50 Dy.upf
Y 88.91 Y.upf
O 16.00 O.upf
ATOMIC_POSITIONS crystal
Dy 0.0000 0.0000 0.0000
Dy 0.0328 0.2172 0.7501
Dy 0.2500 0.4671 0.2827
Dy 0.5330 0.7827 0.8156
Dy 0.7503 0.9673 0.2827
Dy 0.8157 0.5329 0.7828
Y 0.0328 0.7173 0.2499
Y 0.0656 0.4999 0.5655
Y 0.2828 0.2500 0.5326
Y 0.2828 0.7499 0.0327
Y 0.3154 0.0326 0.7828
Y 0.5004 0.0000 0.5002
Y 0.5328 0.2827 0.3155
Y 0.5655 0.5001 0.0654
Y 0.7831 0.2500 0.0328
Y 0.7827 0.7500 0.5329
O 0.0113 0.4892 0.3034
O 0.0118 0.2182 0.4903
O 0.0227 0.2611 0.0016
O 0.0431 0.4790 0.8045
O 0.0534 0.9786 0.7726
O 0.0544 0.7926 0.0435
O 0.2404 0.9793 0.5013
O 0.2510 0.2074 0.2617
O 0.2722 0.7814 0.7935
O 0.2940 0.7181 0.2720
O 0.3136 0.2923 0.8033
O 0.3256 0.5209 0.5639
O 0.5118 0.5218 0.2936
O 0.5116 0.7081 0.0215
O 0.5227 0.0205 0.2611
O 0.5438 0.2390 0.0643
O 0.5540 0.2818 0.5757
O 0.5547 0.0101 0.7622
O 0.7406 0.7389 0.7615
O 0.7522 0.9898 0.5440
O 0.7718 0.4782 0.9899
O 0.7941 0.0213 0.0750
O 0.8144 0.5108 0.5221
O 0.8251 0.7614 0.3044
CELL_PARAMETERS angstrom
9.2614 0.0000 0.0000
-3.0854 8.7335 0.0000
-3.0882 -4.3655 7.5631
! **Total energy after the MP2020 corrections**: -370.47 eV/cell
! **Formation energy from the elements**: -79.71 eV/f.u.
! **Space-group type**: P1
! **Crystal system**: triclinic